Rb5V3O10: relaxed, meta-GGA r2SCAN. Values from VASP.

Results
Total energy: -216.01 eV per formula unit
Formation enthalpy at 0 K: -2.4648 eV/atom

Structure (Quantum ESPRESSO input):
```
&SYSTEM
  ibrav = 0, nat = 72, ntyp = 3
/
ATOMIC_SPECIES
Rb 85.47 Rb.upf
V 50.94 V.upf
O 16.00 O.upf
ATOMIC_POSITIONS crystal
Rb 0.4774 0.0129 0.1346
Rb 0.5226 0.9871 0.6346
Rb 0.4871 0.9774 0.3846
Rb 0.0226 0.5129 0.1154
Rb 0.5129 0.0226 0.8846
Rb 0.9774 0.4871 0.6154
Rb 0.0129 0.4774 0.8654
Rb 0.9871 0.5226 0.3654
Rb 0.0012 0.0272 0.1122
Rb 0.9988 0.9728 0.6122
Rb 0.4728 0.5012 0.3622
Rb 0.4988 0.5272 0.1378
Rb 0.5272 0.4988 0.8622
Rb 0.5012 0.4728 0.6378
Rb 0.0272 0.0012 0.8878
Rb 0.9728 0.9988 0.3878
Rb 0.7606 0.7606 0.0000
Rb 0.2394 0.2394 0.5000
Rb 0.7394 0.2606 0.2500
Rb 0.2606 0.7394 0.7500
V 0.2304 0.2325 0.2677
V 0.7696 0.7675 0.7677
V 0.2675 0.7304 0.5177
V 0.2696 0.7325 0.9823
V 0.7325 0.2696 0.0177
V 0.7304 0.2675 0.4823
V 0.2325 0.2304 0.7323
V 0.7675 0.7696 0.2323
V 0.3134 0.3134 0.0000
V 0.6866 0.6866 0.5000
V 0.1866 0.8134 0.2500
V 0.8134 0.1866 0.7500
O 0.0689 0.3278 0.2371
O 0.9311 0.6722 0.7371
O 0.1722 0.5689 0.4871
O 0.4311 0.8278 0.0129
O 0.8278 0.4311 0.9871
O 0.5689 0.1722 0.5129
O 0.3278 0.0689 0.7629
O 0.6722 0.9311 0.2629
O 0.2431 0.2295 0.0712
O 0.7569 0.7705 0.5712
O 0.2705 0.7431 0.3212
O 0.2569 0.7295 0.1788
O 0.7295 0.2569 0.8212
O 0.7431 0.2705 0.6788
O 0.2295 0.2431 0.9288
O 0.7705 0.7569 0.4288
O 0.2314 0.2449 0.3549
O 0.7686 0.7551 0.8549
O 0.2551 0.7314 0.6049
O 0.2686 0.7449 0.8951
O 0.7449 0.2686 0.1049
O 0.7314 0.2551 0.3951
O 0.2449 0.2314 0.6451
O 0.7551 0.7686 0.1451
O 0.2180 0.0219 0.2425
O 0.7820 0.9781 0.7425
O 0.4781 0.7180 0.4925
O 0.2820 0.5219 0.0075
O 0.5219 0.2820 0.9925
O 0.7180 0.4781 0.5075
O 0.0219 0.2180 0.7575
O 0.9781 0.7820 0.2575
O 0.4028 0.3059 0.2370
O 0.5972 0.6941 0.7370
O 0.1941 0.9028 0.4870
O 0.0972 0.8059 0.0130
O 0.8059 0.0972 0.9870
O 0.9028 0.1941 0.5130
O 0.3059 0.4028 0.7630
O 0.6941 0.5972 0.2630
CELL_PARAMETERS angstrom
8.4196 0.0000 0.0000
0.0000 8.4196 0.0000
0.0000 0.0000 19.4467
```

Pb: relaxed, meta-GGA r2SCAN. Values from VASP.

Results
Total energy: -56.26 eV per formula unit
E above lowest polymorph: 20 meV per atom
Formation enthalpy at 0 K: 0.0205 eV/atom

Structure (Quantum ESPRESSO input):
```
&SYSTEM
  ibrav = 0, nat = 2, ntyp = 1
/
ATOMIC_SPECIES
Pb 207.20 Pb.upf
ATOMIC_POSITIONS crystal
Pb 0.3333 0.6667 0.2500
Pb 0.6667 0.3333 0.7500
CELL_PARAMETERS angstrom
3.4716 0.0000 0.0000
-1.7358 3.0065 0.0000
0.0000 0.0000 5.9974
```

Sb2XeF12: relaxed, meta-GGA r2SCAN. Values from VASP.

Results
Total energy: -143.22 eV per formula unit
Formation enthalpy at 0 K: -2.0274 eV/atom

Structure (Quantum ESPRESSO input):
```
&SYSTEM
  ibrav = 0, nat = 30, ntyp = 3
/
ATOMIC_SPECIES
Sb 121.76 Sb.upf
Xe 131.29 Xe.upf
F 19.00 F.upf
ATOMIC_POSITIONS crystal
Sb 0.0502 0.9487 0.1433
Sb 0.9498 0.4487 0.8567
Sb 0.6893 0.7116 0.3043
Sb 0.3107 0.2116 0.6957
Xe 0.6843 0.2174 0.2941
Xe 0.3157 0.7174 0.7059
F 0.8672 0.7900 0.1625
F 0.1328 0.2900 0.8375
F 0.2126 0.1044 0.1411
F 0.7874 0.6044 0.8589
F 0.2118 0.8749 0.3500
F 0.7882 0.3749 0.6500
F 0.1487 0.8253 0.0072
F 0.8513 0.3253 0.9928
F 0.4823 0.3570 0.2984
F 0.5177 0.8570 0.7016
F 0.8487 0.0121 0.9560
F 0.1513 0.5121 0.0440
F 0.5301 0.6432 0.4340
F 0.4699 0.1432 0.5660
F 0.8411 0.5450 0.3248
F 0.1589 0.0450 0.6752
F 0.8752 0.7906 0.4962
F 0.1248 0.2906 0.5038
F 0.5329 0.6454 0.0904
F 0.4671 0.1454 0.9096
F 0.9254 0.0549 0.2932
F 0.0746 0.5549 0.7068
F 0.5688 0.8920 0.2571
F 0.4312 0.3920 0.7429
CELL_PARAMETERS angstrom
7.1722 0.0000 -0.0351
0.0000 9.3353 0.0000
-2.2936 0.0000 7.7393
```

Li5CuF8: relaxed, meta-GGA r2SCAN. Values from VASP.

Results
Total energy: -86.28 eV per formula unit
E above lowest polymorph: 17 meV per atom
Formation enthalpy at 0 K: -2.7497 eV/atom

Structure (Quantum ESPRESSO input):
```
&SYSTEM
  ibrav = 0, nat = 14, ntyp = 3
/
ATOMIC_SPECIES
Li 6.94 Li.upf
Cu 63.55 Cu.upf
F 19.00 F.upf
ATOMIC_POSITIONS crystal
Li 0.0000 0.5000 0.2285
Li 0.0000 0.5000 0.7715
Li 0.5000 0.5000 0.0000
Li 0.5000 0.0000 0.2285
Li 0.5000 0.0000 0.7715
Cu 0.5000 0.5000 0.5000
F 0.2639 0.7361 0.0000
F 0.2669 0.7331 0.5000
F 0.2725 0.2725 0.2615
F 0.2725 0.2725 0.7385
F 0.7275 0.7275 0.2615
F 0.7275 0.7275 0.7385
F 0.7331 0.2669 0.5000
F 0.7361 0.2639 0.0000
CELL_PARAMETERS angstrom
2.8306 -4.0523 0.0000
2.8306 4.0523 0.0000
0.0000 0.0000 5.7591
```

ZrCu: relaxed, meta-GGA r2SCAN. Values from VASP.

Results
Total energy: -33.89 eV per formula unit
Formation enthalpy at 0 K: -0.1462 eV/atom

Structure (Quantum ESPRESSO input):
```
&SYSTEM
  ibrav = 0, nat = 8, ntyp = 2
/
ATOMIC_SPECIES
Zr 91.22 Zr.upf
Cu 63.55 Cu.upf
ATOMIC_POSITIONS crystal
Zr 0.9084 0.9084 0.9899
Zr 0.4106 0.4106 0.0218
Zr 0.8233 0.2669 0.4099
Zr 0.2669 0.8233 0.4099
Cu 0.7169 0.7169 0.5479
Cu 0.3020 0.3020 0.5648
Cu 0.4475 0.9479 0.8502
Cu 0.9479 0.4475 0.8502
CELL_PARAMETERS angstrom
2.3252 -3.3468 -3.3321
3.8684 3.3756 1.1623
2.5045 -2.9603 3.5679
```

DyAu: relaxed, meta-GGA r2SCAN. Values from VASP.

Results
Total energy: -84.55 eV per formula unit
Formation enthalpy at 0 K: -0.9927 eV/atom

Structure (Quantum ESPRESSO input):
```
&SYSTEM
  ibrav = 0, nat = 4, ntyp = 2
/
ATOMIC_SPECIES
Dy 162.50 Dy.upf
Au 196.97 Au.upf
ATOMIC_POSITIONS crystal
Dy 0.1386 0.7500 0.7228
Dy 0.8614 0.2500 0.2772
Au 0.4118 0.7500 0.1764
Au 0.5883 0.2500 0.8236
CELL_PARAMETERS angstrom
-3.7286 -0.0025 0.0000
0.0000 0.0000 -4.6240
-1.8680 -5.4531 0.0000
```

NbMoS4: relaxed, meta-GGA r2SCAN. Values from VASP.

Results
Total energy: -89.20 eV per formula unit
Formation enthalpy at 0 K: -1.0426 eV/atom

Structure (Quantum ESPRESSO input):
```
&SYSTEM
  ibrav = 0, nat = 6, ntyp = 3
/
ATOMIC_SPECIES
Nb 92.91 Nb.upf
Mo 95.94 Mo.upf
S 32.06 S.upf
ATOMIC_POSITIONS crystal
Nb 0.5000 0.4946 0.0009
Mo 0.0000 0.0036 0.0007
S 0.0000 0.4118 0.7510
S 0.5000 0.9213 0.7574
S 0.5000 0.7573 0.2438
S 0.0000 0.2433 0.2501
CELL_PARAMETERS angstrom
3.2861 0.0000 0.0000
0.0000 5.7031 0.0006
0.0000 1.9236 6.2482
```

Nd2Sn2O7: relaxed, meta-GGA r2SCAN. Values from VASP.

Results
Total energy: -181.07 eV per formula unit
Formation enthalpy at 0 K: -2.8125 eV/atom

Structure (Quantum ESPRESSO input):
```
&SYSTEM
  ibrav = 0, nat = 22, ntyp = 3
/
ATOMIC_SPECIES
Nd 144.24 Nd.upf
Sn 118.71 Sn.upf
O 16.00 O.upf
ATOMIC_POSITIONS crystal
Nd 0.1250 0.1250 0.1250
Nd 0.6250 0.1250 0.1250
Nd 0.1250 0.1250 0.6250
Nd 0.1250 0.6250 0.1250
Sn 0.6250 0.6250 0.6250
Sn 0.1250 0.6250 0.6250
Sn 0.6250 0.6250 0.1250
Sn 0.6250 0.1250 0.6250
O 0.0000 0.0000 0.0000
O 0.2500 0.2500 0.2500
O 0.2922 0.2922 0.7078
O 0.5422 0.5422 0.9578
O 0.7078 0.2922 0.7078
O 0.7078 0.2922 0.2922
O 0.2922 0.7078 0.7078
O 0.2922 0.7078 0.2922
O 0.7078 0.7078 0.2922
O 0.9578 0.5422 0.5422
O 0.5422 0.9578 0.9578
O 0.9578 0.9578 0.5422
O 0.9578 0.5422 0.9578
O 0.5422 0.9578 0.5422
CELL_PARAMETERS angstrom
0.0000 5.3094 5.3094
5.3094 0.0000 5.3094
5.3094 5.3094 0.0000
```

TbAgHg2: relaxed, meta-GGA r2SCAN. Values from VASP.

Results
Total energy: -152.92 eV per formula unit
Formation enthalpy at 0 K: -0.4005 eV/atom

Structure (Quantum ESPRESSO input):
```
&SYSTEM
  ibrav = 0, nat = 4, ntyp = 3
/
ATOMIC_SPECIES
Tb 158.93 Tb.upf
Ag 107.87 Ag.upf
Hg 200.59 Hg.upf
ATOMIC_POSITIONS crystal
Tb 0.7500 0.7500 0.7500
Ag 0.2500 0.2500 0.2500
Hg 0.0000 0.0000 0.0000
Hg 0.5000 0.5000 0.5000
CELL_PARAMETERS angstrom
-1.4895 -4.5196 1.4801
-0.8180 -0.8950 4.8338
-4.6516 -0.6718 1.6575
```

Ca2Zn3Ga: relaxed, meta-GGA r2SCAN. Values from VASP.

Results
Total energy: -54.63 eV per formula unit
Formation enthalpy at 0 K: -0.3967 eV/atom

Structure (Quantum ESPRESSO input):
```
&SYSTEM
  ibrav = 0, nat = 6, ntyp = 3
/
ATOMIC_SPECIES
Ca 40.08 Ca.upf
Zn 65.41 Zn.upf
Ga 69.72 Ga.upf
ATOMIC_POSITIONS crystal
Ca 0.4560 0.4560 0.7948
Ca 0.5446 0.5446 0.2035
Zn 0.1620 0.1620 0.3893
Zn 0.1655 0.1655 0.7814
Zn 0.8356 0.8356 0.2257
Ga 0.8362 0.8362 0.6053
CELL_PARAMETERS angstrom
-5.0663 -2.5354 -0.8231
-4.5512 -0.9866 3.3295
-6.6593 2.9723 -0.2826
```

SnSe: relaxed, meta-GGA r2SCAN. Values from VASP.

Results
Total energy: -39.79 eV per formula unit
Formation enthalpy at 0 K: -0.3659 eV/atom

Structure (Quantum ESPRESSO input):
```
&SYSTEM
  ibrav = 0, nat = 4, ntyp = 2
/
ATOMIC_SPECIES
Sn 118.71 Sn.upf
Se 78.96 Se.upf
ATOMIC_POSITIONS crystal
Sn 0.2500 0.2500 0.3722
Sn 0.7500 0.7500 0.6278
Se 0.2500 0.2500 0.6160
Se 0.7500 0.7500 0.3840
CELL_PARAMETERS angstrom
4.2853 0.0151 0.0000
-0.0151 4.2853 0.0000
0.0000 0.0000 10.9907
```

Gd2MgNi2: relaxed, meta-GGA r2SCAN. Values from VASP.

Results
Total energy: -116.25 eV per formula unit
Formation enthalpy at 0 K: -0.2656 eV/atom

Structure (Quantum ESPRESSO input):
```
&SYSTEM
  ibrav = 0, nat = 10, ntyp = 3
/
ATOMIC_SPECIES
Gd 157.25 Gd.upf
Mg 24.30 Mg.upf
Ni 58.69 Ni.upf
ATOMIC_POSITIONS crystal
Gd 0.6728 0.1728 0.5000
Gd 0.3272 0.8272 0.5000
Gd 0.1728 0.3272 0.5000
Gd 0.8272 0.6728 0.5000
Mg 0.0000 0.0000 0.0000
Mg 0.5000 0.5000 0.0000
Ni 0.1183 0.6183 0.0000
Ni 0.8817 0.3817 0.0000
Ni 0.6183 0.8817 0.0000
Ni 0.3817 0.1183 0.0000
CELL_PARAMETERS angstrom
7.4131 0.0001 0.0000
0.0001 7.4131 0.0000
0.0000 0.0000 3.7150
```

Repeat the eleventh record exactly.
SnSe: relaxed, meta-GGA r2SCAN. Values from VASP.

Results
Total energy: -39.79 eV per formula unit
Formation enthalpy at 0 K: -0.3659 eV/atom

Structure (Quantum ESPRESSO input):
```
&SYSTEM
  ibrav = 0, nat = 4, ntyp = 2
/
ATOMIC_SPECIES
Sn 118.71 Sn.upf
Se 78.96 Se.upf
ATOMIC_POSITIONS crystal
Sn 0.2500 0.2500 0.3722
Sn 0.7500 0.7500 0.6278
Se 0.2500 0.2500 0.6160
Se 0.7500 0.7500 0.3840
CELL_PARAMETERS angstrom
4.2853 0.0151 0.0000
-0.0151 4.2853 0.0000
0.0000 0.0000 10.9907
```

Q: Which formula does entry 12 have?
A: Gd2MgNi2

Please write out number 4 again, unchanged.
Li5CuF8: relaxed, meta-GGA r2SCAN. Values from VASP.

Results
Total energy: -86.28 eV per formula unit
E above lowest polymorph: 17 meV per atom
Formation enthalpy at 0 K: -2.7497 eV/atom

Structure (Quantum ESPRESSO input):
```
&SYSTEM
  ibrav = 0, nat = 14, ntyp = 3
/
ATOMIC_SPECIES
Li 6.94 Li.upf
Cu 63.55 Cu.upf
F 19.00 F.upf
ATOMIC_POSITIONS crystal
Li 0.0000 0.5000 0.2285
Li 0.0000 0.5000 0.7715
Li 0.5000 0.5000 0.0000
Li 0.5000 0.0000 0.2285
Li 0.5000 0.0000 0.7715
Cu 0.5000 0.5000 0.5000
F 0.2639 0.7361 0.0000
F 0.2669 0.7331 0.5000
F 0.2725 0.2725 0.2615
F 0.2725 0.2725 0.7385
F 0.7275 0.7275 0.2615
F 0.7275 0.7275 0.7385
F 0.7331 0.2669 0.5000
F 0.7361 0.2639 0.0000
CELL_PARAMETERS angstrom
2.8306 -4.0523 0.0000
2.8306 4.0523 0.0000
0.0000 0.0000 5.7591
```